No. 1
Ac2ZnIn: optimized geometry, r²SCAN.

The structure in CIF format:
```
data_Ac2ZnIn
_chemical_formula_sum 'Ac8 Zn4 In4'
_cell_length_a 8.0546
_cell_length_b 8.0546
_cell_length_c 8.0546
_cell_angle_alpha 90.00
_cell_angle_beta 90.00
_cell_angle_gamma 90.00
_symmetry_space_group_name_H-M 'F m -3 m'
_symmetry_Int_Tables_number 225
_symmetry_space_group_name_Hall '-F 4 2 3'
loop_
_atom_site_label
_atom_site_fract_x
_atom_site_fract_y
_atom_site_fract_z
_atom_site_occupancy
Ac1 0.2500 0.2500 0.2500 1
Zn1 0.0000 0.0000 0.0000 1
In1 0.0000 0.0000 0.5000 1
```

Output
The calculation puts the volume at 522.56 Å³ per cell. The magnetization is 0.002 μB/f.u.



No. 2
Ta3P: optimized geometry, r²SCAN.

The structure in CIF format:
```
data_Ta3P
_chemical_formula_sum 'Ta24 P8'
_cell_length_a 10.1491
_cell_length_b 10.1491
_cell_length_c 5.0487
_cell_angle_alpha 90.00
_cell_angle_beta 90.00
_cell_angle_gamma 90.00
_symmetry_space_group_name_H-M 'P 42/n'
_symmetry_Int_Tables_number 86
loop_
_symmetry_equiv_pos_as_xyz
'x,y,z'
'-x,-y,-z'
'-y,x+1/2,z+1/2'
'y,-x+1/2,-z+1/2'
'-x+1/2,-y+1/2,z'
'x+1/2,y+1/2,-z'
'y+1/2,-x,z+1/2'
'-y+1/2,x,-z+1/2'
loop_
_atom_site_label
_atom_site_fract_x
_atom_site_fract_y
_atom_site_fract_z
_atom_site_occupancy
Ta1 0.0404 0.9425 0.2424 1
Ta2 0.1047 0.2593 0.0119 1
Ta3 0.1534 0.8385 0.7322 1
P1 0.0426 0.2688 0.5155 1
```

Output
The calculation puts the volume at 520.04 Å³ per cell. The magnetization is 0.000 μB/f.u.



No. 3
Tm2Si4Mo3: optimized geometry, r²SCAN.

The structure in CIF format:
```
data_Tm2Si4Mo3
_chemical_formula_sum 'Tm4 Si8 Mo6'
_cell_length_a 6.7976
_cell_length_b 6.8621
_cell_length_c 6.6741
_cell_angle_alpha 90.00
_cell_angle_beta 108.78
_cell_angle_gamma 90.00
_symmetry_space_group_name_H-M 'P 1 21/c 1'
_symmetry_Int_Tables_number 14
_symmetry_space_group_name_Hall '-P 2ybc'
loop_
_atom_site_label
_atom_site_fract_x
_atom_site_fract_y
_atom_site_fract_z
_atom_site_occupancy
Tm1 0.1916 0.1705 0.0622 1
Si1 0.0889 0.5435 0.8668 1
Si2 0.4961 0.6310 0.6277 1
Mo1 0.2483 0.6629 0.2483 1
Mo2 0.5000 0.0000 0.5000 1
```

Output
The calculation puts the volume at 294.74 Å³ per cell. The magnetization is 0.000 μB/f.u.



Calculated formation energy, -0.386 -0.641 -0.719 eV per atom (same order as the records).